# 1
This record from Materials Project describes a relaxed LaTaFeO6 crystal. The functional is PBE with a Hubbard U.

Geometry as extended XYZ:
```
18
Lattice="5.570 0.000 0.000 0.000 5.636 0.000 -5.521 0.000 7.884" Properties=species:S:1:pos:R:3 pbc="T T T"
La 0.000 1.165 0.000
La -2.761 4.471 3.942
Ta 2.820 1.512 1.952
Ta 0.060 4.124 5.894
Fe -2.701 1.460 5.936
Fe 0.059 4.176 1.994
O -1.138 2.612 1.690
O -3.898 3.024 5.632
O -2.502 1.297 3.941
O -5.262 4.339 7.883
O 2.418 1.456 0.026
O -0.343 4.180 3.968
O 1.382 0.101 2.161
O -1.379 5.535 6.103
O -1.093 2.606 6.234
O 1.668 3.030 2.292
O 1.386 0.064 5.758
O 4.147 5.573 1.816
```

Computed properties:
- ΔE_f (eV/atom) = -2.787
- symmetry = Pc

***

# 2
This record from Materials Project describes a relaxed LaTaZnFeO6 crystal. The functional is PBE with a Hubbard U.

Geometry as extended XYZ:
```
40
Lattice="0.000 0.046 7.933 5.981 5.460 0.030 -5.973 5.451 0.031" Properties=species:S:1:pos:R:3 pbc="T T T"
O -1.197 4.476 3.613
O 0.058 7.692 1.922
O 4.085 7.120 4.427
O -1.891 7.116 4.423
O -3.038 4.984 5.873
O 0.216 8.941 6.091
O -1.091 4.370 0.442
O 2.784 6.193 2.109
O 1.052 1.172 7.460
O 1.243 6.527 4.425
O 1.751 9.229 0.474
O 1.750 3.774 0.441
O 0.056 2.239 1.892
O 4.781 4.480 3.619
O 0.212 3.485 6.059
O -1.782 7.230 7.600
O -4.731 6.522 4.427
O -3.196 6.188 2.108
O -4.034 3.877 3.507
O -1.785 1.776 7.575
O 1.944 3.881 3.505
O -1.087 9.827 0.471
O 2.938 4.988 5.873
O 1.055 6.627 7.490
Zn 2.315 8.095 2.014
Zn 2.313 2.639 1.981
Zn 0.683 5.387 5.964
Zn -5.292 5.382 5.965
Ta -0.213 2.766 7.922
Ta -0.213 8.222 7.952
Ta 3.210 5.470 3.970
Ta -2.766 5.467 3.969
La 2.578 2.631 5.985
La 0.417 5.338 2.033
La -5.561 5.334 2.035
La 2.582 8.089 6.021
Fe -0.135 2.678 4.025
Fe -0.124 8.139 4.057
Fe -2.851 5.385 0.074
Fe 3.121 5.396 0.073
```

Computed properties:
- ΔE_f (eV/atom) = -2.807

***

# 3
This record from Materials Project describes a relaxed LaTiZnFeO6 crystal. The functional is PBE with a Hubbard U.

Geometry as extended XYZ:
```
20
Lattice="5.402 0.000 0.000 0.000 5.717 0.000 -5.380 0.000 7.725" Properties=species:S:1:pos:R:3 pbc="T T T"
La 0.000 1.121 0.000
La -2.690 4.595 3.863
Ti -2.625 1.622 5.789
Ti 0.065 4.095 1.926
Zn 0.012 0.933 3.865
Zn 2.702 4.784 0.003
Fe 2.753 1.526 1.959
Fe 0.063 4.191 5.822
O -1.007 2.650 1.579
O -3.697 3.067 5.441
O -1.932 1.282 3.879
O 0.758 4.435 0.017
O -2.993 1.412 7.678
O -0.303 4.305 3.816
O 1.164 0.336 2.333
O -1.527 5.381 6.196
O -1.022 2.573 6.118
O 1.668 3.144 2.255
O 1.194 0.320 5.379
O 3.884 5.397 1.516
```

Computed properties:
- ΔE_f (eV/atom) = -2.774
- symmetry = Pc

***

Record-wise M_tot values, in μB/atom: 0.444; 0.000; 0.500
Record-wise ρ values, in g/cm³: 6.329; 6.896; 5.624